1.
# Eu3Ti

An optimized crystal structure of Eu3Ti (PBE-GGA, the Materials Project).

CIF file:
```
data_Eu3Ti
_chemical_formula_sum 'Eu6 Ti2'
_space_group_name_H-M_alt 'I 4/m m m'
_space_group_IT_number 139
_space_group_name_Hall '-I 4 2'
_cell_length_a 5.154
_cell_length_b 5.154
_cell_length_c 10.369
_cell_angle_alpha 90.00
_cell_angle_beta 90.00
_cell_angle_gamma 90.00
loop_
_atom_site_label
_atom_site_type_symbol
_atom_site_fract_x
_atom_site_fract_y
_atom_site_fract_z
Eu1 Eu 0.000 0.000 0.000
Eu2 Eu 0.000 0.500 0.250
Ti1 Ti 0.000 0.000 0.500
```

The excess energy over the best structure of this formula in the dataset is 0.00 eV/f.u. The calculated total energy is -9.289 eV per atom. The value obtained for the energy of formation is 0.38 eV per atom.

2.
# Na5Mg4PS5O24

An optimized crystal structure of Na5Mg4PS5O24 (PBE-GGA, the Materials Project).

CIF file:
```
data_Na5Mg4PS5O24
_chemical_formula_sum 'Na15 Mg12 P3 S15 O72'
_space_group_name_H-M_alt 'P 1'
_space_group_IT_number 1
_space_group_name_Hall 'P 1'
_cell_length_a 8.856
_cell_length_b 8.862
_cell_length_c 22.261
_cell_angle_alpha 89.95
_cell_angle_beta 89.87
_cell_angle_gamma 60.03
loop_
_atom_site_label
_atom_site_type_symbol
_atom_site_fract_x
_atom_site_fract_y
_atom_site_fract_z
Na1 Na 0.000 0.000 0.000
Na2 Na 0.000 0.364 0.492
Na3 Na 0.297 0.392 0.331
Na4 Na 0.304 0.031 0.579
Na5 Na 0.308 0.671 0.827
Na6 Na 0.310 0.015 0.079
Na7 Na 0.606 0.699 0.666
Na8 Na 0.617 0.059 0.163
Na9 Na 0.641 0.382 0.246
Na10 Na 0.649 0.362 0.745
Na11 Na 0.663 0.025 0.830
Na12 Na 0.942 0.036 0.324
Na13 Na 0.957 0.702 0.412
Na14 Na 0.958 0.672 0.912
Na15 Na 0.972 0.326 0.165
Mg1 Mg 0.295 0.026 0.229
Mg2 Mg 0.301 0.033 0.729
Mg3 Mg 0.305 0.030 0.429
Mg4 Mg 0.313 0.029 0.929
Mg5 Mg 0.634 0.360 0.596
Mg6 Mg 0.634 0.368 0.095
Mg7 Mg 0.640 0.369 0.396
Mg8 Mg 0.641 0.374 0.895
Mg9 Mg 0.966 0.699 0.262
Mg10 Mg 0.968 0.692 0.762
Mg11 Mg 0.973 0.697 0.062
Mg12 Mg 0.973 0.702 0.562
P1 P 0.005 0.331 0.329
P2 P 0.601 0.734 0.826
P3 P 0.971 0.994 0.161
S1 S 0.008 0.033 0.830
S2 S 0.265 0.698 0.663
S3 S 0.267 0.404 0.163
S4 S 0.302 0.326 0.829
S5 S 0.306 0.734 0.329
S6 S 0.340 0.660 0.994
S7 S 0.342 0.364 0.494
S8 S 0.598 0.029 0.328
S9 S 0.635 0.070 0.995
S10 S 0.635 0.663 0.498
S11 S 0.675 0.698 0.161
S12 S 0.675 0.995 0.663
S13 S 0.932 0.067 0.494
S14 S 0.936 0.365 0.996
S15 S 0.972 0.399 0.660
O1 O 0.091 0.058 0.777
O2 O 0.092 0.216 0.273
O3 O 0.108 0.053 0.490
O4 O 0.110 0.010 0.885
O5 O 0.110 0.202 0.991
O6 O 0.119 0.245 0.386
O7 O 0.126 0.224 0.667
O8 O 0.131 0.020 0.165
O9 O 0.144 0.720 0.324
O10 O 0.152 0.487 0.111
O11 O 0.153 0.507 0.823
O12 O 0.159 0.715 0.610
O13 O 0.161 0.681 0.999
O14 O 0.162 0.520 0.499
O15 O 0.186 0.679 0.719
O16 O 0.190 0.501 0.219
O17 O 0.274 0.249 0.883
O18 O 0.281 0.842 0.383
O19 O 0.286 0.856 0.666
O20 O 0.292 0.223 0.167
O21 O 0.315 0.840 0.991
O22 O 0.319 0.207 0.492
O23 O 0.328 0.219 0.775
O24 O 0.334 0.811 0.275
O25 O 0.419 0.562 0.938
O26 O 0.421 0.383 0.438
O27 O 0.443 0.383 0.156
O28 O 0.445 0.542 0.658
O29 O 0.447 0.572 0.047
O30 O 0.448 0.347 0.547
O31 O 0.456 0.553 0.336
O32 O 0.465 0.339 0.835
O33 O 0.478 0.052 0.991
O34 O 0.481 0.838 0.491
O35 O 0.491 0.815 0.769
O36 O 0.496 0.051 0.272
O37 O 0.499 0.010 0.667
O38 O 0.502 0.859 0.168
O39 O 0.509 0.856 0.880
O40 O 0.512 0.007 0.381
O41 O 0.611 0.192 0.333
O42 O 0.614 0.583 0.554
O43 O 0.615 0.553 0.834
O44 O 0.618 0.172 0.050
O45 O 0.653 0.543 0.155
O46 O 0.655 0.170 0.656
O47 O 0.658 0.156 0.941
O48 O 0.663 0.548 0.446
O49 O 0.757 0.725 0.108
O50 O 0.764 0.879 0.611
O51 O 0.775 0.917 0.719
O52 O 0.778 0.879 0.324
O53 O 0.784 0.717 0.821
O54 O 0.786 0.665 0.215
O55 O 0.795 0.894 0.999
O56 O 0.797 0.676 0.502
O57 O 0.803 0.182 0.157
O58 O 0.810 0.386 0.656
O59 O 0.823 0.345 0.335
O60 O 0.826 0.182 0.835
O61 O 0.827 0.386 0.944
O62 O 0.832 0.145 0.438
O63 O 0.843 0.183 0.546
O64 O 0.855 0.339 0.052
O65 O 0.943 0.909 0.217
O66 O 0.944 0.514 0.712
O67 O 0.952 0.892 0.502
O68 O 0.957 0.519 0.002
O69 O 0.986 0.890 0.104
O70 O 0.990 0.513 0.323
O71 O 0.994 0.478 0.604
O72 O 0.995 0.870 0.824
```

The calculated total energy is -6.042 eV per atom. The value obtained for the energy of formation is -2.42 eV per atom.

3.
# Zn3Sb2H18Se6N9

An optimized crystal structure of Zn3Sb2H18Se6N9 (PBE-GGA, the Materials Project).

CIF file:
```
data_Zn3Sb2H18Se6N9
_chemical_formula_sum 'Zn6 Sb4 H36 Se12 N18'
_space_group_name_H-M_alt 'P 1 21 1'
_space_group_IT_number 4
_space_group_name_Hall 'P 2yb'
_cell_length_a 7.596
_cell_length_b 12.230
_cell_length_c 13.255
_cell_angle_alpha 90.00
_cell_angle_beta 93.64
_cell_angle_gamma 90.00
loop_
_atom_site_label
_atom_site_type_symbol
_atom_site_fract_x
_atom_site_fract_y
_atom_site_fract_z
Zn1 Zn 0.141 0.000 0.349
Zn2 Zn 0.141 0.126 0.867
Zn3 Zn 0.342 0.362 0.309
Sb1 Sb 0.083 0.360 0.041
Sb2 Sb 0.171 0.864 0.711
H1 H 0.044 0.061 0.164
H2 H 0.057 0.800 0.298
H3 H 0.088 0.616 0.568
H4 H 0.109 0.485 0.530
H5 H 0.140 0.802 0.419
H6 H 0.198 0.527 0.642
H7 H 0.228 0.993 0.167
H8 H 0.232 0.124 0.198
H9 H 0.265 0.568 0.352
H10 H 0.274 0.805 0.326
H11 H 0.275 0.557 0.228
H12 H 0.295 0.077 0.513
H13 H 0.348 0.998 0.992
H14 H 0.405 0.128 0.004
H15 H 0.409 0.121 0.419
H16 H 0.431 0.993 0.461
H17 H 0.462 0.566 0.302
H18 H 0.472 0.055 0.910
Se1 Se 0.095 0.313 0.411
Se2 Se 0.123 0.571 0.046
Se3 Se 0.176 0.075 0.688
Se4 Se 0.183 0.328 0.860
Se5 Se 0.379 0.297 0.135
Se6 Se 0.398 0.803 0.584
N1 N 0.091 0.536 0.591
N2 N 0.154 0.832 0.347
N3 N 0.162 0.052 0.205
N4 N 0.336 0.534 0.297
N5 N 0.342 0.055 0.444
N6 N 0.357 0.571 0.783
N7 N 0.358 0.849 0.097
N8 N 0.366 0.069 0.952
N9 N 0.417 0.307 0.660
```

The calculated total energy is -4.422 eV per atom. The value obtained for the energy of formation is -0.06 eV per atom.

4.
# SrIn4Ni

An optimized crystal structure of SrIn4Ni (PBE-GGA, the Materials Project).

CIF file:
```
data_SrIn4Ni
_chemical_formula_sum 'Sr4 In16 Ni4'
_space_group_name_H-M_alt 'C m c m'
_space_group_IT_number 63
_space_group_name_Hall '-C 2c 2'
_cell_length_a 4.559
_cell_length_b 17.211
_cell_length_c 7.432
_cell_angle_alpha 90.00
_cell_angle_beta 90.00
_cell_angle_gamma 90.00
loop_
_atom_site_label
_atom_site_type_symbol
_atom_site_fract_x
_atom_site_fract_y
_atom_site_fract_z
Sr1 Sr 0.000 0.121 0.250
In1 In 0.000 0.075 0.750
In2 In 0.000 0.310 0.050
In3 In 0.000 0.500 0.000
Ni1 Ni 0.000 0.226 0.750
```

The calculated total energy is -3.376 eV per atom. The value obtained for the energy of formation is -0.30 eV per atom.